(1)
DFT (meta-GGA r2SCAN) results for a geometry-optimized Rb2S2O7 structure.

Unit cell a=7.4839 b=7.6127 c=14.9868 alpha=59.67 beta=90.00 gamma=90.00
Sites, in units of the cell vectors:
1 O 0.9134 0.7591 0.5197
2 O 0.2162 0.4225 0.0408
3 Rb 0.3038 0.6844 0.6289
4 S 0.7963 0.7571 0.6137
5 Rb 0.6962 0.3156 0.3711
6 O 0.5866 0.7591 0.0197
7 O 0.6836 0.5785 0.6551
8 S 0.2963 0.2429 0.8863
9 O 0.7162 0.5775 0.4592
10 O 0.9804 0.7627 0.3627
11 S 0.7037 0.7571 0.1137
12 O 0.5196 0.7627 0.8627
13 S 0.8234 0.7601 0.4185
14 Rb 0.6337 0.1993 0.6590
15 O 0.1970 0.0549 0.9325
16 O 0.8164 0.5785 0.1551
17 O 0.7838 0.5775 0.9592
18 O 0.7831 0.9440 0.8668
19 Rb 0.8663 0.1993 0.1590
20 O 0.7169 0.9440 0.3668
21 O 0.3030 0.0549 0.4325
22 Rb 0.1962 0.6844 0.1289
23 O 0.4134 0.2409 0.9803
24 O 0.3164 0.4215 0.3449
25 S 0.6766 0.7601 0.9185
26 O 0.9380 0.7416 0.6824
27 O 0.0620 0.2584 0.3176
28 O 0.4380 0.2584 0.8176
29 O 0.6970 0.9451 0.5675
30 S 0.3234 0.2399 0.0815
31 O 0.0196 0.2373 0.6373
32 Rb 0.1337 0.8007 0.8410
33 O 0.2831 0.0560 0.6332
34 O 0.4804 0.2373 0.1373
35 O 0.5620 0.7416 0.1824
36 O 0.0866 0.2409 0.4803
37 S 0.2037 0.2429 0.3863
38 O 0.8030 0.9451 0.0675
39 O 0.1836 0.4215 0.8449
40 Rb 0.8038 0.3156 0.8711
41 Rb 0.3663 0.8007 0.3410
42 O 0.2169 0.0560 0.1332
43 S 0.1766 0.2399 0.5815
44 O 0.2838 0.4225 0.5408

Calculated values
E_tot   -422.869 eV/cell
Formation enthalpy at 0 K   -1.816 eV/atom
Symmetry   P2_1/c (14)

(2)
DFT (meta-GGA r2SCAN) results for a geometry-optimized Cs2Cu5Se4 structure.

Unit cell a=9.9830 b=9.9830 c=13.1727 alpha=90.00 beta=90.00 gamma=156.94
Sites, in units of the cell vectors:
1 Cs 0.8592 0.1407 0.2500
2 Se 0.6583 0.3417 0.9804
3 Cu 0.6478 0.3522 0.1585
4 Se 0.3417 0.6583 0.4804
5 Se 0.7926 0.2074 0.7500
6 Cs 0.0000 0.0000 0.5000
7 Cu 0.7842 0.2158 0.9575
8 Cs 0.1407 0.8592 0.7500
9 Cu 0.7842 0.2158 0.5425
10 Cu 0.6478 0.3522 0.3415
11 Se 0.4786 0.5214 0.7500
12 Cu 0.9144 0.0856 0.7500
13 Cu 0.0856 0.9144 0.2500
14 Cu 0.3522 0.6478 0.6585
15 Cs 0.0000 0.0000 0.0000
16 Se 0.6583 0.3417 0.5196
17 Se 0.2074 0.7926 0.2500
18 Se 0.3417 0.6583 0.0196
19 Se 0.5214 0.4786 0.2500
20 Cu 0.3522 0.6478 0.8415
21 Cu 0.2158 0.7842 0.4575
22 Cu 0.2158 0.7842 0.0425

Calculated values
E_tot   -336.145 eV/cell
Formation enthalpy at 0 K   -0.580 eV/atom
Symmetry   Cmcm (63)

(3)
DFT (meta-GGA r2SCAN) results for a geometry-optimized Hf2Hg structure.

Unit cell a=3.3301 b=3.3301 c=6.2612 alpha=105.42 beta=105.42 gamma=90.00
Sites, in units of the cell vectors:
1 Hf 0.6657 0.6657 0.3315
2 Hg 0.0000 0.0000 0.0000
3 Hf 0.3343 0.3343 0.6685

Calculated values
E_tot   -140.154 eV/cell
Formation enthalpy at 0 K   -0.161 eV/atom
Symmetry   I4/mmm (139)

(4)
DFT (meta-GGA r2SCAN) results for a geometry-optimized ThGe2Pd2 structure.

Unit cell a=4.3173 b=4.3173 c=5.9316 alpha=111.34 beta=111.34 gamma=90.00
Sites, in units of the cell vectors:
1 Pd 0.2500 0.7500 0.5000
2 Pd 0.7500 0.2500 0.5000
3 Th 0.0000 0.0000 0.0000
4 Ge 0.3787 0.3787 0.7575
5 Ge 0.6213 0.6213 0.2425

Calculated values
E_tot   -151.359 eV/cell
Formation enthalpy at 0 K   -0.844 eV/atom
Symmetry   I4/mmm (139)

(5)
DFT (meta-GGA r2SCAN) results for a geometry-optimized BaAlB4H3O10 structure.

Unit cell a=7.1691 b=7.1691 c=19.1185 alpha=74.54 beta=74.54 gamma=59.69
Sites, in units of the cell vectors:
1 B 0.8987 0.4054 0.8975
2 O 0.3521 0.8868 0.7805
3 O 0.6659 0.5655 0.9015
4 O 0.0195 0.4304 0.8227
5 O 0.5483 0.2912 0.9300
6 O 0.8216 0.0678 0.5886
7 B 0.5946 0.1013 0.6025
8 O 0.4286 0.9963 0.4509
9 O 0.0744 0.7168 0.8396
10 H 0.3407 0.9674 0.2595
11 B 0.6008 0.0702 0.2952
12 O 0.6645 0.2918 0.4383
13 B 0.5003 0.4894 0.0777
14 O 0.0799 0.2064 0.5496
15 Ba 0.3865 0.0189 0.8984
16 O 0.5655 0.6659 0.4015
17 H 0.8245 0.9784 0.7929
18 Al 0.0390 0.6638 0.9430
19 O 0.8868 0.3521 0.2805
20 O 0.1784 0.9322 0.4114
21 O 0.3262 0.9317 0.2154
22 B 0.8732 0.2339 0.5714
23 O 0.7088 0.4517 0.5700
24 O 0.2912 0.5483 0.4300
25 O 0.0678 0.8216 0.0886
26 O 0.1132 0.6479 0.7195
27 Ba 0.6135 0.9811 0.1016
28 B 0.1013 0.5946 0.1025
29 Al 0.3362 0.9610 0.5570
30 B 0.3992 0.9298 0.7048
31 Al 0.9610 0.3362 0.0570
32 O 0.9256 0.2832 0.1604
33 H 0.0326 0.6593 0.2405
34 O 0.3355 0.7082 0.5617
35 O 0.3341 0.4345 0.0985
36 O 0.4345 0.3341 0.5985
37 B 0.5105 0.4997 0.4223
38 O 0.7082 0.3355 0.0617
39 O 0.6738 0.0683 0.7846
40 O 0.4304 0.0195 0.3227
41 O 0.4517 0.7088 0.0700
42 O 0.6479 0.1132 0.2195
43 B 0.7661 0.1268 0.9286
44 H 0.9674 0.3407 0.7595
45 O 0.0683 0.6738 0.2846
46 H 0.8280 0.2456 0.3000
47 Al 0.6638 0.0390 0.4430
48 H 0.0216 0.1755 0.7071
49 O 0.9317 0.3262 0.7154
50 B 0.0702 0.6008 0.7952
51 B 0.1268 0.7661 0.4286
52 B 0.4894 0.5003 0.5777
53 B 0.2339 0.8732 0.0714
54 B 0.4997 0.5105 0.9223
55 H 0.6593 0.0326 0.7405
56 H 0.9784 0.8245 0.2929
57 Ba 0.9811 0.6135 0.6016
58 B 0.4054 0.8987 0.3975
59 O 0.0037 0.5714 0.0491
60 O 0.2918 0.6645 0.9383
61 H 0.1720 0.7544 0.7000
62 O 0.9322 0.1784 0.9114
63 O 0.5714 0.0037 0.5491
64 O 0.2064 0.0799 0.0496
65 O 0.9963 0.4286 0.9509
66 O 0.2832 0.9256 0.6604
67 O 0.7936 0.9201 0.9504
68 O 0.9805 0.5696 0.1773
69 H 0.7544 0.1720 0.2000
70 H 0.2456 0.8280 0.8000
71 O 0.9201 0.7936 0.4504
72 O 0.7168 0.0744 0.3396
73 H 0.1755 0.0216 0.2071
74 Ba 0.0189 0.3865 0.3984
75 O 0.5696 0.9805 0.6773
76 B 0.9298 0.3992 0.2048

Calculated values
E_tot   -718.859 eV/cell
Formation enthalpy at 0 K   -2.474 eV/atom
Symmetry   C2/c (15)

(6)
DFT (meta-GGA r2SCAN) results for a geometry-optimized Ho2GaCo2 structure.

Unit cell a=4.0840 b=5.3109 c=5.3109 alpha=60.01 beta=67.39 gamma=67.39
Sites, in units of the cell vectors:
1 Co 0.5000 0.2858 0.7142
2 Ho 0.2058 0.2942 0.2942
3 Ho 0.7942 0.7058 0.7058
4 Ga 0.0000 0.0000 0.0000
5 Co 0.5000 0.7142 0.2858

Calculated values
E_tot   -105.471 eV/cell
Formation enthalpy at 0 K   -0.359 eV/atom
Symmetry   Immm (71)

(7)
DFT (meta-GGA r2SCAN) results for a geometry-optimized PmMg2Sc structure.

Unit cell a=5.2758 b=5.2758 c=5.2758 alpha=60.00 beta=60.00 gamma=60.00
Sites, in units of the cell vectors:
1 Sc 0.5000 0.5000 0.5000
2 Mg 0.7500 0.7500 0.7500
3 Mg 0.2500 0.2500 0.2500
4 Pm 0.0000 0.0000 0.0000

Calculated values
E_tot   -49.559 eV/cell
Formation enthalpy at 0 K   -0.070 eV/atom
Symmetry   Fm-3m (225)

(8)
DFT (meta-GGA r2SCAN) results for a geometry-optimized K4Si23 structure.

Unit cell a=10.2855 b=10.2855 c=10.2855 alpha=90.00 beta=90.00 gamma=90.00
Sites, in units of the cell vectors:
1 Si 0.3816 0.8066 0.5000
2 K 0.5000 0.0000 0.7500
3 Si 0.3150 0.3150 0.3150
4 Si 0.5000 0.6184 0.8066
5 Si 0.0000 0.5000 0.7500
6 Si 0.1850 0.8150 0.8150
7 Si 0.3066 0.8816 0.0000
8 K 0.5000 0.5000 0.5000
9 K 0.7500 0.5000 0.0000
10 Si 0.8066 0.5000 0.3816
11 Si 0.8816 0.0000 0.6934
12 Si 0.6934 0.1184 0.0000
13 Si 0.0000 0.3066 0.1184
14 Si 0.0000 0.5000 0.2500
15 Si 0.8150 0.8150 0.1850
16 Si 0.1184 0.0000 0.6934
17 Si 0.2500 0.0000 0.5000
18 Si 0.5000 0.3816 0.1934
19 Si 0.3150 0.3150 0.6850
20 Si 0.8150 0.8150 0.8150
21 Si 0.5000 0.3816 0.8066
22 Si 0.7500 0.0000 0.5000
23 K 0.2500 0.5000 0.0000
24 K 0.0000 0.0000 0.0000
25 Si 0.1850 0.1850 0.1850
26 Si 0.5000 0.6184 0.1934
27 Si 0.0000 0.6934 0.8816
28 Si 0.6850 0.3150 0.3150
29 Si 0.1850 0.8150 0.1850
30 Si 0.6850 0.6850 0.6850
31 Si 0.1184 0.0000 0.3066
32 Si 0.3816 0.1934 0.5000
33 Si 0.6934 0.8816 0.0000
34 Si 0.1934 0.5000 0.3816
35 Si 0.3150 0.6850 0.6850
36 Si 0.6184 0.1934 0.5000
37 Si 0.8150 0.1850 0.1850
38 Si 0.3150 0.6850 0.3150
39 Si 0.0000 0.3066 0.8816
40 Si 0.5000 0.2500 0.0000
41 K 0.0000 0.7500 0.5000
42 K 0.0000 0.2500 0.5000
43 Si 0.8816 0.0000 0.3066
44 Si 0.1934 0.5000 0.6184
45 Si 0.0000 0.6934 0.1184
46 Si 0.1850 0.1850 0.8150
47 K 0.5000 0.0000 0.2500
48 Si 0.3066 0.1184 0.0000
49 Si 0.6850 0.6850 0.3150
50 Si 0.8150 0.1850 0.8150
51 Si 0.5000 0.7500 0.0000
52 Si 0.8066 0.5000 0.6184
53 Si 0.6184 0.8066 0.5000
54 Si 0.6850 0.3150 0.6850

Calculated values
E_tot   -453.357 eV/cell
Formation enthalpy at 0 K   -0.030 eV/atom
Symmetry   Pm-3n (223)

(9)
DFT (meta-GGA r2SCAN) results for a geometry-optimized Pr4CoI5 structure.

Unit cell a=10.0123 b=10.0123 c=9.2187 alpha=76.69 beta=76.69 gamma=24.53
Sites, in units of the cell vectors:
1 I 0.6692 0.6692 0.6545
2 Pr 0.8608 0.8608 0.0732
3 Pr 0.5001 0.5001 0.2091
4 I 0.3308 0.3308 0.3455
5 Co 0.0000 0.0000 0.0000
6 I 0.3263 0.3263 0.8280
7 Pr 0.4999 0.4999 0.7909
8 I 0.6737 0.6737 0.1720
9 I 0.0000 0.0000 0.5000
10 Pr 0.1392 0.1392 0.9268

Calculated values
E_tot   -265.923 eV/cell
Formation enthalpy at 0 K   -1.228 eV/atom
Symmetry   C2/m (12)

(10)
DFT (meta-GGA r2SCAN) results for a geometry-optimized Zr3Ni3Sb4 structure.

Unit cell a=7.8744 b=7.8744 c=7.8744 alpha=109.47 beta=109.47 gamma=109.47
Sites, in units of the cell vectors:
1 Ni 0.1250 0.8750 0.2500
2 Sb 0.6629 0.6629 0.6629
3 Sb 0.0000 0.3371 0.5000
4 Ni 0.3750 0.6250 0.7500
5 Zr 0.7500 0.8750 0.1250
6 Zr 0.8750 0.1250 0.7500
7 Ni 0.8750 0.2500 0.1250
8 Sb 0.3371 0.5000 0.0000
9 Ni 0.6250 0.7500 0.3750
10 Zr 0.2500 0.6250 0.3750
11 Zr 0.6250 0.3750 0.2500
12 Zr 0.1250 0.7500 0.8750
13 Sb 0.5000 0.0000 0.8371
14 Sb 0.0000 0.8371 0.5000
15 Sb 0.8371 0.5000 0.0000
16 Ni 0.2500 0.1250 0.8750
17 Sb 0.5000 0.0000 0.3371
18 Zr 0.3750 0.2500 0.6250
19 Ni 0.7500 0.3750 0.6250
20 Sb 0.1629 0.1629 0.1629

Calculated values
E_tot   -428.301 eV/cell
Formation enthalpy at 0 K   -0.713 eV/atom
Symmetry   I-43d (220)

(11)
DFT (meta-GGA r2SCAN) results for a geometry-optimized BaTi2O5 structure.

Unit cell a=8.7025 b=8.7025 c=9.4964 alpha=77.31 beta=77.31 gamma=26.11
Sites, in units of the cell vectors:
1 O 0.1427 0.1622 0.8139
2 Ba 0.4954 0.5046 0.5000
3 O 0.2535 0.2758 0.3997
4 O 0.8378 0.8573 0.1861
5 O 0.4464 0.4832 0.2096
6 Ti 0.1568 0.1758 0.3059
7 O 0.9278 0.9567 0.7117
8 Ti 0.7797 0.8065 0.3734
9 Ba 0.3661 0.3712 0.9827
10 O 0.7242 0.7465 0.6003
11 Ti 0.0611 0.0171 0.7901
12 O 0.0996 0.1176 0.5731
13 O 0.9867 0.0133 0.0000
14 O 0.5168 0.5536 0.7904
15 O 0.7813 0.7959 0.8768
16 O 0.8824 0.9004 0.4269
17 O 0.2041 0.2187 0.1232
18 Ba 0.6288 0.6339 0.0173
19 O 0.6650 0.6857 0.3383
20 O 0.3143 0.3350 0.6617
21 O 0.0433 0.0722 0.2883
22 Ti 0.1935 0.2203 0.6266
23 Ti 0.9829 0.9389 0.2099
24 Ti 0.8242 0.8432 0.6941

Calculated values
E_tot   -327.334 eV/cell
Formation enthalpy at 0 K   -3.359 eV/atom
Symmetry   C2 (5)

(12)
DFT (meta-GGA r2SCAN) results for a geometry-optimized Lu2CdOs structure.

Unit cell a=4.8780 b=4.8780 c=4.8780 alpha=60.00 beta=60.00 gamma=60.00
Sites, in units of the cell vectors:
1 Lu 0.7500 0.7500 0.7500
2 Os 0.0000 0.0000 0.0000
3 Cd 0.5000 0.5000 0.5000
4 Lu 0.2500 0.2500 0.2500

Calculated values
E_tot   -150.775 eV/cell
Formation enthalpy at 0 K   -0.381 eV/atom
Symmetry   Fm-3m (225)

- Which value of E_tot does entry 2 give?
  -336.145 eV/cell

- Which of these has the lowest formation enthalpy at 0 K?
  BaTi2O5

- E_tot of number 4 (ThGe2Pd2)?
  -151.359 eV/cell